No. 1
# Na2SbSO4F3

A geometry-optimized Na2SbSO4F3 structure (r²SCAN, the Materials Project database).

- mass density (kg/m³) = 3659
- VASP energy (eV per cell) = -786.59
- E_form (eV per formula unit) = -24.19
- V (Å³ per atom) = 13.236

```
data_Na2SbSO4F3
_chemical_formula_sum 'Na16 Sb8 S8 O32 F24'
_space_group_name_H-M_alt 'C m c e'
_space_group_IT_number 64
_space_group_name_Hall '-C 2ac 2'
_cell_length_a 14.9200
_cell_length_b 7.0777
_cell_length_c 11.0297
_cell_angle_alpha 90.00
_cell_angle_beta 90.00
_cell_angle_gamma 90.00
loop_
_atom_site_label
_atom_site_fract_x
_atom_site_fract_y
_atom_site_fract_z
Na1 0.1168 0.0000 0.0000
Na2 0.2500 0.2188 0.2500
Sb1 0.0000 0.1083 0.3349
S1 0.1829 0.0000 0.5000
O1 0.1240 0.1654 0.4758
O2 0.2394 0.0357 0.6066
F1 0.0000 0.1201 0.8805
F2 0.0934 0.1901 0.2179
```

=====

No. 2
# Be2Mo

A geometry-optimized Be2Mo structure (r²SCAN, the Materials Project database).

- mass density (kg/m³) = 6078
- VASP energy (eV per cell) = -143.01
- E_form (eV per formula unit) = -1.00
- V (Å³ per atom) = 10.379

```
data_Be2Mo
_chemical_formula_sum 'Be8 Mo4'
_space_group_name_H-M_alt 'P 63/m m c'
_space_group_IT_number 194
_space_group_name_Hall '-P 6c 2c'
_cell_length_a 4.4419
_cell_length_b 4.4419
_cell_length_c 7.2893
_cell_angle_alpha 90.00
_cell_angle_beta 90.00
_cell_angle_gamma 120.00
loop_
_atom_site_label
_atom_site_fract_x
_atom_site_fract_y
_atom_site_fract_z
Be1 0.0000 0.0000 0.0000
Be2 0.1697 0.3394 0.2500
Mo1 0.3333 0.6667 0.5630
```

=====

No. 3
# PuNiC2

A geometry-optimized PuNiC2 structure (r²SCAN, the Materials Project database).

- mass density (kg/m³) = 10814
- VASP energy (eV per cell) = -238.55
- E_form (eV per formula unit) = -1.04
- V (Å³ per atom) = 12.542

```
data_PuNiC2
_chemical_formula_sum 'Pu2 Ni2 C4'
_space_group_name_H-M_alt 'A m m 2'
_space_group_IT_number 38
_space_group_name_Hall 'A 2 -2'
_cell_length_a 3.6760
_cell_length_b 4.5201
_cell_length_c 6.0388
_cell_angle_alpha 90.00
_cell_angle_beta 90.00
_cell_angle_gamma 90.00
loop_
_atom_site_label
_atom_site_fract_x
_atom_site_fract_y
_atom_site_fract_z
Pu1 0.0000 0.0000 0.0000
Ni1 0.5000 0.0000 0.3910
C1 0.5000 0.1527 0.6972
```

=====

No. 4
# VSi3Mo4

A geometry-optimized VSi3Mo4 structure (r²SCAN, the Materials Project database).

- mass density (kg/m³) = 7745
- VASP energy (eV per cell) = -593.95
- E_form (eV per formula unit) = -3.79
- V (Å³ per atom) = 13.908

```
data_VSi3Mo4
_chemical_formula_sum 'V4 Si12 Mo16'
_space_group_name_H-M_alt 'I 4/m c m'
_space_group_IT_number 140
_space_group_name_Hall '-I 4 2c'
_cell_length_a 9.6107
_cell_length_b 9.6107
_cell_length_c 4.8183
_cell_angle_alpha 90.00
_cell_angle_beta 90.00
_cell_angle_gamma 90.00
loop_
_atom_site_label
_atom_site_fract_x
_atom_site_fract_y
_atom_site_fract_z
V1 0.0000 0.5000 0.2500
Si1 0.0000 0.0000 0.2500
Si2 0.1627 0.3373 0.0000
Mo1 0.0783 0.2258 0.5000
```

=====

No. 5
# La3Rh2

A geometry-optimized La3Rh2 structure (r²SCAN, the Materials Project database).

- mass density (kg/m³) = 7799
- VASP energy (eV per cell) = -1268.99
- E_form (eV per formula unit) = -3.49
- V (Å³ per atom) = 26.510

```
data_La3Rh2
_chemical_formula_sum 'La27 Rh18'
_space_group_name_H-M_alt 'R -3'
_space_group_IT_number 148
_space_group_name_Hall '-R 3'
_cell_length_a 8.9527
_cell_length_b 8.9527
_cell_length_c 17.1864
_cell_angle_alpha 90.00
_cell_angle_beta 90.00
_cell_angle_gamma 120.00
loop_
_atom_site_label
_atom_site_fract_x
_atom_site_fract_y
_atom_site_fract_z
La1 0.0000 0.0000 0.0000
La2 0.0000 0.0000 0.2027
La3 0.0186 0.2641 0.5929
Rh1 0.0196 0.6143 0.5708
```

=====

No. 6
# NdInNi2

A geometry-optimized NdInNi2 structure (r²SCAN, the Materials Project database).

- mass density (kg/m³) = 8413
- VASP energy (eV per cell) = -155.32
- E_form (eV per formula unit) = -1.70
- V (Å³ per atom) = 18.576

```
data_NdInNi2
_chemical_formula_sum 'Nd2 In2 Ni4'
_space_group_name_H-M_alt 'P m m a'
_space_group_IT_number 51
_space_group_name_Hall '-P 2a 2a'
_cell_length_a 5.1700
_cell_length_b 4.0476
_cell_length_c 7.1014
_cell_angle_alpha 90.00
_cell_angle_beta 90.00
_cell_angle_gamma 90.00
loop_
_atom_site_label
_atom_site_fract_x
_atom_site_fract_y
_atom_site_fract_z
Nd1 0.2500 0.0000 0.2264
In1 0.2500 0.5000 0.8408
Ni1 0.0000 0.5000 0.5000
Ni2 0.2500 0.0000 0.6055
```

=====

No. 7
# Cs3BSe3O12

A geometry-optimized Cs3BSe3O12 structure (r²SCAN, the Materials Project database).

- mass density (kg/m³) = 3902
- VASP energy (eV per cell) = -895.25
- E_form (eV per formula unit) = -26.54
- V (Å³ per atom) = 18.776

```
data_Cs3BSe3O12
_chemical_formula_sum 'Cs12 B4 Se12 O48'
_space_group_name_H-M_alt 'P 1 21/c 1'
_space_group_IT_number 14
_space_group_name_Hall '-P 2ybc'
_cell_length_a 11.4425
_cell_length_b 8.0400
_cell_length_c 15.8124
_cell_angle_alpha 90.00
_cell_angle_beta 101.20
_cell_angle_gamma 90.00
loop_
_atom_site_label
_atom_site_fract_x
_atom_site_fract_y
_atom_site_fract_z
Cs1 0.0391 0.2213 0.4535
Cs2 0.3640 0.0704 0.1988
Cs3 0.3757 0.7105 0.9402
B1 0.1590 0.0521 0.7689
Se1 0.0094 0.7031 0.3121
Se2 0.3156 0.5707 0.1662
Se3 0.3362 0.1743 0.9061
O1 0.0651 0.0721 0.1410
O2 0.0789 0.1982 0.7722
O3 0.0889 0.6038 0.2457
O4 0.0890 0.6649 0.8760
O5 0.2246 0.0325 0.8567
O6 0.2252 0.0842 0.7015
O7 0.2276 0.6598 0.0850
O8 0.2789 0.1397 0.3897
O9 0.3540 0.1111 0.0057
O10 0.3605 0.6942 0.2477
O11 0.4205 0.0398 0.6372
O12 0.4518 0.1464 0.8619
```

=====

No. 8
# V3CoP6O24

A geometry-optimized V3CoP6O24 structure (r²SCAN, the Materials Project database).

- mass density (kg/m³) = 3115
- VASP energy (eV per cell) = -990.36
- E_form (eV per formula unit) = -77.27
- V (Å³ per atom) = 12.254

```
data_V3CoP6O24
_chemical_formula_sum 'V9 Co3 P18 O72'
_space_group_name_H-M_alt 'R 3'
_space_group_IT_number 146
_space_group_name_Hall 'R 3'
_cell_length_a 8.2267
_cell_length_b 8.2267
_cell_length_c 21.3257
_cell_angle_alpha 90.00
_cell_angle_beta 90.00
_cell_angle_gamma 120.00
loop_
_atom_site_label
_atom_site_fract_x
_atom_site_fract_y
_atom_site_fract_z
V1 0.0000 0.0000 0.0000
V2 0.0000 0.0000 0.2179
V3 0.0000 0.0000 0.7235
Co1 0.0000 0.0000 0.5053
P1 0.0053 0.2792 0.6088
P2 0.0060 0.7197 0.1116
O1 0.0004 0.8159 0.0509
O2 0.0087 0.1861 0.9508
O3 0.0679 0.2143 0.2645
O4 0.0774 0.2153 0.5550
O5 0.1542 0.4772 0.3372
O6 0.1550 0.6738 0.4386
O7 0.1890 0.7295 0.8326
O8 0.1984 0.7464 0.1195
```

=====

No. 9
# MnV2Ru

A geometry-optimized MnV2Ru structure (r²SCAN, the Materials Project database).

- mass density (kg/m³) = 8522
- VASP energy (eV per cell) = -276.82
- E_form (eV per formula unit) = -0.92
- V (Å³ per atom) = 12.563

```
data_MnV2Ru
_chemical_formula_sum 'Mn4 V8 Ru4'
_space_group_name_H-M_alt 'F m -3 m'
_space_group_IT_number 225
_space_group_name_Hall '-F 4 2 3'
_cell_length_a 5.8578
_cell_length_b 5.8578
_cell_length_c 5.8578
_cell_angle_alpha 90.00
_cell_angle_beta 90.00
_cell_angle_gamma 90.00
loop_
_atom_site_label
_atom_site_fract_x
_atom_site_fract_y
_atom_site_fract_z
Mn1 0.0000 0.0000 0.0000
V1 0.2500 0.2500 0.2500
Ru1 0.0000 0.0000 0.5000
```

=====

No. 10
# ErF3

A geometry-optimized ErF3 structure (r²SCAN, the Materials Project database).

- mass density (kg/m³) = 8114
- VASP energy (eV per cell) = -245.19
- E_form (eV per formula unit) = -17.99
- V (Å³ per atom) = 11.473

```
data_ErF3
_chemical_formula_sum 'Er4 F12'
_space_group_name_H-M_alt 'P n m a'
_space_group_IT_number 62
_space_group_name_Hall '-P 2ac 2n'
_cell_length_a 6.2478
_cell_length_b 6.7642
_cell_length_c 4.3437
_cell_angle_alpha 90.00
_cell_angle_beta 90.00
_cell_angle_gamma 90.00
loop_
_atom_site_label
_atom_site_fract_x
_atom_site_fract_y
_atom_site_fract_z
Er1 0.1303 0.2500 0.0614
F1 0.0233 0.7500 0.4088
F2 0.1660 0.5622 0.8762
```

=====

No. 11
# Pm2TlCd

A geometry-optimized Pm2TlCd structure (r²SCAN, the Materials Project database).

- mass density (kg/m³) = 8901
- VASP energy (eV per cell) = -536.94
- E_form (eV per formula unit) = -1.87
- V (Å³ per atom) = 28.299

```
data_Pm2TlCd
_chemical_formula_sum 'Pm8 Tl4 Cd4'
_space_group_name_H-M_alt 'F m -3 m'
_space_group_IT_number 225
_space_group_name_Hall '-F 4 2 3'
_cell_length_a 7.6789
_cell_length_b 7.6789
_cell_length_c 7.6789
_cell_angle_alpha 90.00
_cell_angle_beta 90.00
_cell_angle_gamma 90.00
loop_
_atom_site_label
_atom_site_fract_x
_atom_site_fract_y
_atom_site_fract_z
Pm1 0.2500 0.2500 0.2500
Tl1 0.0000 0.0000 0.0000
Cd1 0.0000 0.0000 0.5000
```

=====

No. 12
# Mg10B16Ir19

A geometry-optimized Mg10B16Ir19 structure (r²SCAN, the Materials Project database).

- mass density (kg/m³) = 11388
- VASP energy (eV per cell) = -2355.21
- E_form (eV per formula unit) = -23.54
- V (Å³ per atom) = 13.182

```
data_Mg10B16Ir19
_chemical_formula_sum 'Mg20 B32 Ir38'
_space_group_name_H-M_alt 'I -4 3 m'
_space_group_IT_number 217
_space_group_name_Hall 'I -4 2 3'
_cell_length_a 10.5862
_cell_length_b 10.5862
_cell_length_c 10.5862
_cell_angle_alpha 90.00
_cell_angle_beta 90.00
_cell_angle_gamma 90.00
loop_
_atom_site_label
_atom_site_fract_x
_atom_site_fract_y
_atom_site_fract_z
Mg1 0.0000 0.0000 0.3472
Mg2 0.1668 0.1668 0.1668
B1 0.0880 0.3363 0.3363
B2 0.1113 0.1113 0.8887
Ir1 0.0000 0.0000 0.0000
Ir2 0.0000 0.2500 0.5000
Ir3 0.0697 0.2519 0.7481
```

=====

No. 13
# Ca2ScNbO6

A geometry-optimized Ca2ScNbO6 structure (r²SCAN, the Materials Project database).

- mass density (kg/m³) = 3999
- VASP energy (eV per cell) = -472.97
- E_form (eV per formula unit) = -32.20
- V (Å³ per atom) = 13.039

```
data_Ca2ScNbO6
_chemical_formula_sum 'Ca8 Sc4 Nb4 O24'
_space_group_name_H-M_alt 'F m -3 m'
_space_group_IT_number 225
_space_group_name_Hall '-F 4 2 3'
_cell_length_a 8.0494
_cell_length_b 8.0494
_cell_length_c 8.0494
_cell_angle_alpha 90.00
_cell_angle_beta 90.00
_cell_angle_gamma 90.00
loop_
_atom_site_label
_atom_site_fract_x
_atom_site_fract_y
_atom_site_fract_z
Ca1 0.2500 0.2500 0.2500
Sc1 0.0000 0.0000 0.0000
Nb1 0.0000 0.0000 0.5000
O1 0.0000 0.0000 0.2539
```

=====

No. 14
# Lu2MgCd

A geometry-optimized Lu2MgCd structure (r²SCAN, the Materials Project database).

- mass density (kg/m³) = 8179
- VASP energy (eV per cell) = -404.99
- E_form (eV per formula unit) = -0.81
- V (Å³ per atom) = 24.701

```
data_Lu2MgCd
_chemical_formula_sum 'Lu8 Mg4 Cd4'
_space_group_name_H-M_alt 'F m -3 m'
_space_group_IT_number 225
_space_group_name_Hall '-F 4 2 3'
_cell_length_a 7.3386
_cell_length_b 7.3386
_cell_length_c 7.3386
_cell_angle_alpha 90.00
_cell_angle_beta 90.00
_cell_angle_gamma 90.00
loop_
_atom_site_label
_atom_site_fract_x
_atom_site_fract_y
_atom_site_fract_z
Lu1 0.2500 0.2500 0.2500
Mg1 0.0000 0.0000 0.0000
Cd1 0.0000 0.0000 0.5000
```

=====

No. 15
# CsSnCl3

A geometry-optimized CsSnCl3 structure (r²SCAN, the Materials Project database).

- mass density (kg/m³) = 3449
- VASP energy (eV per cell) = -76.09
- E_form (eV per formula unit) = -7.77
- V (Å³ per atom) = 34.465

```
data_CsSnCl3
_chemical_formula_sum 'Cs1 Sn1 Cl3'
_space_group_name_H-M_alt 'P m -3 m'
_space_group_IT_number 221
_space_group_name_Hall '-P 4 2 3'
_cell_length_a 5.5648
_cell_length_b 5.5648
_cell_length_c 5.5648
_cell_angle_alpha 90.00
_cell_angle_beta 90.00
_cell_angle_gamma 90.00
loop_
_atom_site_label
_atom_site_fract_x
_atom_site_fract_y
_atom_site_fract_z
Cs1 0.0000 0.0000 0.0000
Sn1 0.5000 0.5000 0.5000
Cl1 0.0000 0.5000 0.5000
```

=====

No. 16
# SnSeS

A geometry-optimized SnSeS structure (r²SCAN, the Materials Project database).

- mass density (kg/m³) = 4895
- VASP energy (eV per cell) = -48.39
- E_form (eV per formula unit) = -1.30
- V (Å³ per atom) = 25.975

```
data_SnSeS
_chemical_formula_sum 'Sn1 Se1 S1'
_space_group_name_H-M_alt 'P 3 m 1'
_space_group_IT_number 156
_space_group_name_Hall 'P 3 -2"'
_cell_length_a 3.7602
_cell_length_b 3.7602
_cell_length_c 6.3640
_cell_angle_alpha 90.00
_cell_angle_beta 90.00
_cell_angle_gamma 120.00
loop_
_atom_site_label
_atom_site_fract_x
_atom_site_fract_y
_atom_site_fract_z
Sn1 0.0000 0.0000 0.0000
Se1 0.6667 0.3333 0.7501
S1 0.3333 0.6667 0.2270
```